Na7Fe4P9O32: relaxed, PBE+U.

Energy in eV per atom: -6.73
Calculated density in g cm⁻³: 2.95
Formation energy in meV/atom: -2514
E (MP2020) in eV/atom: -7.325

a = 6.4656 Å, b = 14.3076 Å, c = 14.3076 Å
α = 90.00°, β = 90.11°, γ = 90.00°
Space group P2_1 (No. 4)
Asymmetric unit:
Na  0.0817  0.0000  0.2650 [2 per cell]
Na  0.1386  0.2417  0.6573 [2 per cell]
Na  0.1391  0.7265  0.8429 [2 per cell]
Na  0.2500  0.9839  0.7500 [2 per cell]
Na  0.3609  0.0767  0.0075 [2 per cell]
Na  0.3614  0.8912  0.4923 [2 per cell]
Na  0.4183  0.4689  0.7661 [2 per cell]
Fe  0.1248  0.2931  0.3697 [2 per cell]
Fe  0.1247  0.6752  0.1302 [2 per cell]
Fe  0.3752  0.3643  0.0592 [2 per cell]
Fe  0.3753  0.6037  0.4412 [2 per cell]
P  0.1097  0.0972  0.5016 [2 per cell]
P  0.1099  0.8707  0.9987 [2 per cell]
P  0.1429  0.5393  0.9497 [2 per cell]
P  0.1451  0.4284  0.5503 [2 per cell]
P  0.2500  0.4840  0.2500 [2 per cell]
P  0.3550  0.7843  0.3055 [2 per cell]
P  0.3569  0.1836  0.1946 [2 per cell]
P  0.3903  0.2324  0.8632 [2 per cell]
P  0.3902  0.7353  0.6367 [2 per cell]
O  0.0630  0.9926  0.4627 [2 per cell]
O  0.0642  0.6247  0.4314 [2 per cell]
O  0.0635  0.9754  0.0366 [2 per cell]
O  0.0646  0.3432  0.0686 [2 per cell]
O  0.0812  0.3356  0.5036 [2 per cell]
O  0.0809  0.6323  0.9964 [2 per cell]
O  0.1049  0.4201  0.3091 [2 per cell]
O  0.1048  0.5478  0.1908 [2 per cell]
O  0.1278  0.1575  0.4145 [2 per cell]
O  0.1283  0.8097  0.0850 [2 per cell]
O  0.1699  0.5525  0.8452 [2 per cell]
O  0.1714  0.4156  0.6549 [2 per cell]
O  0.1751  0.2324  0.2426 [2 per cell]
O  0.1749  0.7347  0.2574 [2 per cell]
O  0.1897  0.1768  0.8496 [2 per cell]
O  0.1895  0.7910  0.6504 [2 per cell]
O  0.3104  0.0836  0.5572 [2 per cell]
O  0.3104  0.8843  0.9429 [2 per cell]
O  0.3249  0.4765  0.5008 [2 per cell]
O  0.3250  0.4913  0.9985 [2 per cell]
O  0.3287  0.8888  0.3184 [2 per cell]
O  0.3300  0.0791  0.1815 [2 per cell]
O  0.3721  0.3195  0.9236 [2 per cell]
O  0.3717  0.6490  0.5757 [2 per cell]
O  0.3951  0.4248  0.1862 [2 per cell]
O  0.3952  0.5431  0.3139 [2 per cell]
O  0.4190  0.2304  0.1016 [2 per cell]
O  0.4189  0.7376  0.3983 [2 per cell]
O  0.4355  0.3025  0.3907 [2 per cell]
O  0.4356  0.6652  0.1092 [2 per cell]
O  0.4365  0.6973  0.7414 [2 per cell]
O  0.4370  0.2713  0.7586 [2 per cell]